A plane-wave DFT calculation with PBE+U was carried out for a relaxed Li4MnP6O18 crystal.

Properties
Space-group type = No. 1
Energy relative to the lowest polymorph listed for this composition = 0.00 eV/f.u.
Formation energy = -2611 meV/atom
Total magnetic moment = 5.00 μB per formula unit

Cell lengths 7.3211, 7.3844, 7.5275 Å; angles 106.18, 114.44, 97.22 degrees
Atoms (fractional coordinates):
Li 0.0000 0.0000 0.0000
Li 0.1110 0.3697 0.4438
Li 0.2496 0.6847 0.8814
Li 0.8721 0.7297 0.5270
Mn 0.4332 0.9455 0.4025
P 0.2953 0.0591 0.7716
P 0.3965 0.3445 0.1718
P 0.6028 0.6246 0.7467
P 0.6539 0.0811 0.1447
P 0.8428 0.3451 0.7107
P 0.9590 0.6267 0.1205
O 0.1232 0.7781 0.1233
O 0.1365 0.9080 0.7721
O 0.2598 0.2120 0.2148
O 0.2774 0.0654 0.5675
O 0.3102 0.2740 0.9160
O 0.3777 0.5927 0.6924
O 0.4392 0.5615 0.2563
O 0.5278 0.0392 0.8961
O 0.5370 0.9217 0.1801
O 0.6204 0.2910 0.2421
O 0.6306 0.4137 0.6433
O 0.7123 0.7789 0.7014
O 0.7336 0.6601 0.9955
O 0.7698 0.1252 0.6168
O 0.8794 0.1106 0.2055
O 0.9344 0.4116 0.9639
O 0.9818 0.6100 0.3210
O 0.9933 0.4592 0.6668

A plane-wave DFT calculation with PBE+U was carried out for a relaxed Li3MnCo2O6 crystal.

Properties
Space-group type = No. 12
Energy relative to the lowest polymorph listed for this composition = 0.33 eV/f.u.
Formation energy = -1807 meV/atom
Total magnetic moment = 10.01 μB per formula unit

Cell lengths 7.8848, 7.8848, 5.1962 Å; angles 109.24, 109.24, 21.17 degrees
Atoms (fractional coordinates):
Li 0.0000 0.0000 0.0000
Li 0.3254 0.3254 0.6607
Li 0.6746 0.6746 0.3393
Mn 0.5000 0.5000 0.5000
Co 0.1696 0.1696 0.8377
Co 0.8304 0.8304 0.1623
O 0.0735 0.0735 0.4267
O 0.2501 0.2501 0.2410
O 0.4204 0.4204 0.1207
O 0.5796 0.5796 0.8793
O 0.7499 0.7499 0.7590
O 0.9265 0.9265 0.5733

A plane-wave DFT calculation with PBE+U was carried out for a relaxed Li5MnSi4O12 crystal.

Properties
Space-group type = No. 1
Formation energy = -2775 meV/atom
Total magnetic moment = 4.00 μB per formula unit

Cell lengths 12.2976, 12.6228, 12.6265 Å; angles 109.90, 108.94, 109.03 degrees
Atoms (fractional coordinates):
Li 0.0000 0.0000 0.0000
Li 0.0003 0.2902 0.7094
Li 0.0248 0.1981 0.1891
Li 0.1419 0.5038 0.9662
Li 0.1640 0.9906 0.1886
Li 0.1723 0.1976 0.0084
Li 0.1751 0.0332 0.5361
Li 0.1839 0.5832 0.4776
Li 0.2367 0.0002 0.9992
Li 0.2894 0.2884 0.5776
Li 0.2955 0.8958 0.4773
Li 0.3585 0.8317 0.9892
Li 0.3601 0.5017 0.5351
Li 0.3672 0.0110 0.8407
Li 0.4025 0.5854 0.1077
Li 0.4738 0.8315 0.8412
Li 0.5268 0.1578 0.1666
Li 0.5976 0.8906 0.4128
Li 0.6319 0.1582 0.9885
Li 0.6392 0.4630 0.4969
Li 0.6400 0.0090 0.1664
Li 0.7065 0.5222 0.1088
Li 0.7089 0.4203 0.7106
Li 0.7622 0.9998 0.9988
Li 0.8190 0.5223 0.4195
Li 0.8250 0.4633 0.9668
Li 0.8278 0.9915 0.8022
Li 0.8365 0.8111 0.0089
Li 0.8574 0.0334 0.4960
Li 0.9750 0.8107 0.8022
Mn 0.0000 0.7571 0.2426
Mn 0.2435 0.4856 0.2429
Mn 0.2559 0.5129 0.7545
Mn 0.4996 0.2425 0.7556
Mn 0.7441 0.2443 0.4869
Mn 0.7569 0.7567 0.5138
Si 0.0210 0.2604 0.4660
Si 0.0267 0.7260 0.9908
Si 0.0353 0.0083 0.7346
Si 0.0519 0.7980 0.5362
Si 0.1939 0.7289 0.7214
Si 0.2391 0.2601 0.7913
Si 0.2537 0.7385 0.2021
Si 0.3007 0.2642 0.2730
Si 0.4462 0.2057 0.4666
Si 0.4660 0.9932 0.2719
Si 0.4720 0.2795 0.0060
Si 0.4850 0.7389 0.5366
Si 0.5162 0.4633 0.2614
Si 0.5287 0.9933 0.7211
Si 0.5342 0.7266 0.0055
Si 0.5529 0.5316 0.7917
Si 0.7000 0.7267 0.7350
Si 0.7459 0.7976 0.2609
Si 0.7615 0.2078 0.7394
Si 0.8061 0.2777 0.2705
Si 0.9486 0.4635 0.2017
Si 0.9648 0.2649 0.9910
Si 0.9733 0.0088 0.2733
Si 0.9785 0.5329 0.7387
O 0.0551 0.6545 0.7200
O 0.0649 0.9400 0.2874
O 0.0673 0.8594 0.9879
O 0.0686 0.1554 0.4043
O 0.0718 0.4796 0.7942
O 0.0779 0.0118 0.8711
O 0.0870 0.8377 0.4373
O 0.0877 0.1549 0.7506
O 0.0960 0.5061 0.2975
O 0.1051 0.9424 0.6600
O 0.1257 0.3476 0.0597
O 0.1516 0.7406 0.5878
O 0.1559 0.3949 0.5706
O 0.1618 0.7160 0.0568
O 0.2025 0.7913 0.2972
O 0.2069 0.1281 0.1402
O 0.2237 0.3479 0.2881
O 0.2326 0.3907 0.8141
O 0.2499 0.5999 0.1632
O 0.2742 0.6481 0.7058
O 0.2779 0.2047 0.6837
O 0.2875 0.8650 0.8524
O 0.3356 0.2829 0.9332
O 0.3365 0.2483 0.4037
O 0.3503 0.5999 0.4378
O 0.3731 0.6452 0.9404
O 0.4002 0.0655 0.3447
O 0.4059 0.4785 0.6831
O 0.4108 0.8472 0.2591
O 0.4120 0.5071 0.2094
O 0.4161 0.1776 0.5718
O 0.4248 0.9883 0.1358
O 0.4327 0.0583 0.7066
O 0.4326 0.1479 0.0106
O 0.4369 0.8478 0.5877
O 0.4450 0.3391 0.2816
O 0.5558 0.7184 0.6606
O 0.5636 0.4125 0.1519
O 0.5681 0.2953 0.9412
O 0.5682 0.9883 0.8524
O 0.5773 0.8629 0.0104
O 0.5824 0.4247 0.8157
O 0.5881 0.7901 0.4927
O 0.5887 0.7394 0.1514
O 0.5930 0.3147 0.5202
O 0.5983 0.6515 0.9327
O 0.6267 0.0585 0.3546
O 0.6497 0.5621 0.3999
O 0.6631 0.5956 0.7503
O 0.6651 0.0664 0.7180
O 0.7112 0.1468 0.1344
O 0.7231 0.3157 0.7952
O 0.7276 0.2945 0.3527
O 0.7494 0.8367 0.3989
O 0.7673 0.1838 0.6086
O 0.7772 0.7121 0.6520
O 0.7940 0.8594 0.8716
O 0.7978 0.7024 0.2090
O 0.8377 0.9425 0.2821
O 0.8432 0.4281 0.6054
O 0.8489 0.4113 0.2586
O 0.8749 0.9398 0.6513
O 0.8961 0.3410 0.0569
O 0.9048 0.7023 0.4931
O 0.9132 0.2488 0.8446
O 0.9140 0.5631 0.1632
O 0.9214 0.1287 0.9879
O 0.9281 0.2053 0.5195
O 0.9319 0.5958 0.8440
O 0.9338 0.0125 0.1405
O 0.9347 0.7116 0.0592
O 0.9445 0.2773 0.3430

total magnetic moment of number 1 (Li4MnP6O18)? 5.00 μB per formula unit